1.
Na9Mg10Nb2P3S15O72 | PBE | relaxed

E_form ... -2405 meV per atom
V ... 1495.6 Å³ per cell
Spin magnetization ... 0.0 μB per formula unit
Corrected total energy (MP2020 scheme) ... -0.4964 Ry per atom

abc: 8.7323 8.7389 22.6220
angles: 89.75 89.76 60.04
Space group P1 (No. 1)
Unique sites:
1 Na 0.0000 0.0000 0.0000 x1
2 Na 0.9997 0.3634 0.5002 x1
3 Na 0.0308 0.6830 0.4122 x1
4 Na 0.0404 0.6584 0.9125 x1
5 Na 0.0690 0.3344 0.8247 x1
6 Na 0.3513 0.9969 0.2416 x1
7 Na 0.3661 0.0052 0.7406 x1
8 Na 0.6804 0.3472 0.0707 x1
9 Na 0.6842 0.3342 0.5711 x1
10 Mg 0.0254 0.6674 0.5619 x1
11 Mg 0.0260 0.6681 0.0622 x1
12 Mg 0.0306 0.6718 0.2618 x1
13 Mg 0.0352 0.6617 0.7608 x1
14 Mg 0.3565 0.0058 0.5954 x1
15 Mg 0.3584 0.0007 0.0954 x1
16 Mg 0.3641 0.9956 0.3941 x1
17 Mg 0.3743 0.9998 0.8938 x1
18 Mg 0.6784 0.3425 0.9302 x1
19 Mg 0.6867 0.3350 0.4297 x1
20 Nb 0.6891 0.3338 0.7236 x1
21 Nb 0.6995 0.3283 0.2236 x1
22 P 0.0355 0.3685 0.6622 x1
23 P 0.0398 0.9526 0.1603 x1
24 P 0.3965 0.3362 0.8307 x1
25 S 0.0648 0.2990 0.9926 x1
26 S 0.0669 0.9983 0.4937 x1
27 S 0.3173 0.3732 0.1625 x1
28 S 0.3171 0.6741 0.6611 x1
29 S 0.3619 0.2942 0.4943 x1
30 S 0.3619 0.7083 0.9949 x1
31 S 0.4012 0.6261 0.3289 x1
32 S 0.6552 0.7078 0.4945 x1
33 S 0.6578 0.9981 0.9955 x1
34 S 0.6923 0.6271 0.8286 x1
35 S 0.6943 0.0397 0.3296 x1
36 S 0.7348 0.6719 0.1628 x1
37 S 0.7360 0.9540 0.6622 x1
38 S 0.9859 0.0374 0.8299 x1
39 S 0.9886 0.3362 0.3298 x1
40 O 0.0025 0.4946 0.3204 x1
41 O 0.0443 0.4762 0.0000 x1
42 O 0.0444 0.8423 0.5006 x1
43 O 0.0495 0.4557 0.7187 x1
44 O 0.0539 0.8456 0.2145 x1
45 O 0.1492 0.0277 0.5462 x1
46 O 0.1530 0.1828 0.0438 x1
47 O 0.1602 0.0284 0.8305 x1
48 O 0.1608 0.1726 0.3298 x1
49 O 0.1635 0.2212 0.9367 x1
50 O 0.1708 0.9765 0.4396 x1
51 O 0.1897 0.1801 0.6571 x1
52 O 0.1897 0.9934 0.1559 x1
53 O 0.1990 0.4732 0.4993 x1
54 O 0.1995 0.6907 0.9994 x1
55 O 0.2112 0.4990 0.8230 x1
56 O 0.2149 0.4531 0.2160 x1
57 O 0.2166 0.6949 0.7151 x1
58 O 0.2265 0.6409 0.3223 x1
59 O 0.2432 0.6401 0.6083 x1
60 O 0.2452 0.4810 0.1092 x1
61 O 0.3339 0.2116 0.4414 x1
62 O 0.3351 0.8185 0.9416 x1
63 O 0.3523 0.1921 0.1561 x1
64 O 0.3519 0.8205 0.6549 x1
65 O 0.3807 0.7919 0.0484 x1
66 O 0.3816 0.1671 0.8288 x1
67 O 0.3839 0.1900 0.5480 x1
68 O 0.3905 0.8000 0.3296 x1
69 O 0.4874 0.5211 0.3814 x1
70 O 0.4876 0.3554 0.8835 x1
71 O 0.5022 0.3576 0.1701 x1
72 O 0.5023 0.5053 0.6680 x1
73 O 0.5129 0.5304 0.2748 x1
74 O 0.5154 0.3220 0.7735 x1
75 O 0.5195 0.3153 0.4883 x1
76 O 0.5207 0.5307 0.9900 x1
77 O 0.5294 0.0329 0.3302 x1
78 O 0.5287 0.7971 0.8315 x1
79 O 0.5516 0.7907 0.5478 x1
80 O 0.5531 0.0182 0.0486 x1
81 O 0.5562 0.8227 0.1567 x1
82 O 0.5571 0.9820 0.6566 x1
83 O 0.5724 0.8093 0.4404 x1
84 O 0.5757 0.9802 0.9415 x1
85 O 0.6756 0.5336 0.7741 x1
86 O 0.6782 0.1532 0.2749 x1
87 O 0.6816 0.5236 0.4902 x1
88 O 0.6847 0.1554 0.9917 x1
89 O 0.7126 0.5066 0.1706 x1
90 O 0.7161 0.1407 0.6690 x1
91 O 0.7165 0.1258 0.3812 x1
92 O 0.7259 0.5122 0.8801 x1
93 O 0.8188 0.6867 0.2164 x1
94 O 0.8200 0.8557 0.7161 x1
95 O 0.8380 0.6840 0.4981 x1
96 O 0.8396 0.8388 0.9992 x1
97 O 0.8430 0.6324 0.1095 x1
98 O 0.8435 0.8834 0.6090 x1
99 O 0.8500 0.6460 0.8205 x1
100 O 0.8516 0.8651 0.3218 x1
101 O 0.8601 0.3501 0.6732 x1
102 O 0.8626 0.1486 0.1733 x1
103 O 0.8854 0.3559 0.3834 x1
104 O 0.8857 0.1199 0.8840 x1
105 O 0.8867 0.3117 0.9887 x1
106 O 0.8879 0.3190 0.2765 x1
107 O 0.8886 0.1637 0.4885 x1
108 O 0.8914 0.1589 0.7769 x1
109 O 0.9940 0.8947 0.1025 x1
110 O 0.9947 0.4772 0.6053 x1
111 O 0.9994 0.8666 0.8203 x1

***

2.
NaMg2Nb2P3S3O24 | PBE | relaxed

E_form ... -2554 meV per atom
V ... 1503.2 Å³ per cell
Spin magnetization ... 0.0 μB per formula unit
Corrected total energy (MP2020 scheme) ... -0.5492 Ry per atom

abc: 8.7530 8.7541 22.6503
angles: 90.00 89.99 60.01
Space group P1 (No. 1)
Unique sites:
1 Na 0.0000 0.0000 0.0000 x1
2 Na 0.0142 0.0016 0.5048 x1
3 Na 0.6711 0.6601 0.3403 x1
4 Mg 0.0072 0.0070 0.3611 x1
5 Mg 0.0103 0.0087 0.6547 x1
6 Mg 0.3444 0.3408 0.0292 x1
7 Mg 0.6655 0.6686 0.1912 x1
8 Mg 0.6659 0.6673 0.4846 x1
9 Mg 0.9970 0.0109 0.8598 x1
10 Nb 0.3284 0.3456 0.8218 x1
11 Nb 0.3297 0.3350 0.5285 x1
12 Nb 0.3379 0.3434 0.3159 x1
13 Nb 0.6667 0.6722 0.9833 x1
14 Nb 0.6693 0.6722 0.6965 x1
15 Nb 0.9955 0.0052 0.1485 x1
16 P 0.0071 0.2840 0.7565 x1
17 P 0.0427 0.3371 0.4218 x1
18 P 0.0497 0.6318 0.9273 x1
19 P 0.3365 0.6297 0.4236 x1
20 P 0.3806 0.9512 0.5874 x1
21 P 0.3863 0.6629 0.0919 x1
22 P 0.6310 0.3279 0.9258 x1
23 P 0.6585 0.9589 0.0914 x1
24 P 0.7232 0.2943 0.2590 x1
25 S 0.2884 0.7165 0.7564 x1
26 S 0.2956 0.9979 0.2579 x1
27 S 0.3322 0.0509 0.9249 x1
28 S 0.6284 0.0451 0.4230 x1
29 S 0.6750 0.3775 0.5886 x1
30 S 0.7170 0.0065 0.7561 x1
31 S 0.9553 0.6764 0.5888 x1
32 S 0.9629 0.3847 0.0905 x1
33 S 0.9970 0.7189 0.2577 x1
34 O 0.0265 0.8107 0.9136 x1
35 O 0.0346 0.7944 0.2035 x1
36 O 0.0369 0.1677 0.4195 x1
37 O 0.0390 0.1818 0.7003 x1
38 O 0.1357 0.5106 0.5831 x1
39 O 0.1369 0.5089 0.8687 x1
40 O 0.1379 0.3543 0.0803 x1
41 O 0.1463 0.3573 0.3686 x1
42 O 0.1622 0.5363 0.9788 x1
43 O 0.1638 0.5377 0.2638 x1
44 O 0.1665 0.8032 0.4177 x1
45 O 0.1674 0.3128 0.4784 x1
46 O 0.1671 0.3169 0.7684 x1
47 O 0.1832 0.0316 0.2042 x1
48 O 0.1838 0.0221 0.9151 x1
49 O 0.1859 0.7873 0.7028 x1
50 O 0.1967 0.8425 0.0996 x1
51 O 0.1967 0.9811 0.5970 x1
52 O 0.2144 0.9723 0.3103 x1
53 O 0.2194 0.8205 0.8096 x1
54 O 0.3079 0.1560 0.9768 x1
55 O 0.3094 0.1637 0.2657 x1
56 O 0.3167 0.5261 0.4781 x1
57 O 0.3189 0.5321 0.7644 x1
58 O 0.3503 0.5171 0.0802 x1
59 O 0.3605 0.5055 0.3682 x1
60 O 0.3663 0.1297 0.8699 x1
61 O 0.3685 0.1391 0.5800 x1
62 O 0.4717 0.7035 0.0354 x1
63 O 0.4722 0.8423 0.5342 x1
64 O 0.4742 0.6882 0.7470 x1
65 O 0.4740 0.8488 0.2505 x1
66 O 0.4930 0.6442 0.1456 x1
67 O 0.4989 0.8726 0.9293 x1
68 O 0.5010 0.8650 0.6446 x1
69 O 0.5055 0.6360 0.4275 x1
70 O 0.5082 0.3620 0.8684 x1
71 O 0.5100 0.3653 0.5821 x1
72 O 0.5112 0.1393 0.0792 x1
73 O 0.5146 0.1325 0.3699 x1
74 O 0.5344 0.1568 0.7650 x1
75 O 0.5348 0.3058 0.2669 x1
76 O 0.5402 0.1592 0.4769 x1
77 O 0.5419 0.3044 0.9781 x1
78 O 0.6402 0.8736 0.4289 x1
79 O 0.6422 0.5028 0.9328 x1
80 O 0.6434 0.4915 0.6429 x1
81 O 0.6515 0.8686 0.1464 x1
82 O 0.6912 0.4786 0.2495 x1
83 O 0.6937 0.8441 0.7463 x1
84 O 0.7030 0.4585 0.5369 x1
85 O 0.7053 0.8345 0.0349 x1
86 O 0.7921 0.0316 0.7022 x1
87 O 0.8001 0.0335 0.4181 x1
88 O 0.8079 0.1723 0.2022 x1
89 O 0.8144 0.1751 0.9154 x1
90 O 0.8242 0.9665 0.8088 x1
91 O 0.8247 0.1999 0.5977 x1
92 O 0.8301 0.2026 0.3126 x1
93 O 0.8393 0.9722 0.0982 x1
94 O 0.8442 0.4794 0.7429 x1
95 O 0.8460 0.4585 0.0368 x1
96 O 0.8486 0.6897 0.2495 x1
97 O 0.8519 0.6968 0.5364 x1
98 O 0.8656 0.6408 0.9328 x1
99 O 0.8701 0.5068 0.4295 x1
100 O 0.8778 0.6405 0.6432 x1
101 O 0.8822 0.4847 0.1436 x1
102 O 0.9688 0.2154 0.8118 x1
103 O 0.9765 0.2011 0.0966 x1
104 O 0.9774 0.8216 0.3104 x1
105 O 0.9810 0.8268 0.5984 x1

***

3.
Na3Mg8Nb4P3S15O72 | PBE | relaxed

E_form ... -2383 meV per atom
V ... 1484.7 Å³ per cell
Spin magnetization ... 0.0 μB per formula unit
Corrected total energy (MP2020 scheme) ... -0.5193 Ry per atom

abc: 8.7011 8.7013 22.6315
angles: 90.12 90.02 119.94
Space group P1 (No. 1)
Unique sites:
1 Na 0.0000 0.0000 0.0000 x1
2 Na 0.0033 0.0038 0.5038 x1
3 Na 0.3297 0.6678 0.3355 x1
4 Mg 0.0075 0.0061 0.3567 x1
5 Mg 0.3315 0.6704 0.1894 x1
6 Mg 0.3334 0.6668 0.4839 x1
7 Mg 0.3371 0.6708 0.9825 x1
8 Mg 0.6702 0.3367 0.0265 x1
9 Mg 0.6701 0.3368 0.5266 x1
10 Mg 0.9953 0.9998 0.8559 x1
11 Mg 0.9981 0.0055 0.6522 x1
12 Nb 0.0094 0.0118 0.1506 x1
13 Nb 0.3409 0.6745 0.6907 x1
14 Nb 0.6682 0.3307 0.3132 x1
15 Nb 0.6691 0.3308 0.8180 x1
16 P 0.0128 0.2969 0.2570 x1
17 P 0.2862 0.9926 0.2569 x1
18 P 0.7208 0.0029 0.7542 x1
19 S 0.0019 0.7154 0.7541 x1
20 S 0.0446 0.6654 0.0869 x1
21 S 0.0455 0.3771 0.5855 x1
22 S 0.2892 0.2897 0.7542 x1
23 S 0.3327 0.9609 0.5853 x1
24 S 0.3427 0.3867 0.0868 x1
25 S 0.3748 0.0445 0.9232 x1
26 S 0.3788 0.3356 0.4224 x1
27 S 0.6216 0.9588 0.0872 x1
28 S 0.6292 0.6711 0.5850 x1
29 S 0.6699 0.0446 0.4224 x1
30 S 0.6705 0.6277 0.9231 x1
31 S 0.7113 0.7165 0.2556 x1
32 S 0.9583 0.6274 0.4221 x1
33 S 0.9613 0.3349 0.9235 x1
34 O 0.0233 0.8321 0.0962 x1
35 O 0.0294 0.2063 0.3105 x1
36 O 0.0316 0.2031 0.5946 x1
37 O 0.0375 0.8216 0.8072 x1
38 O 0.1247 0.6442 0.1403 x1
39 O 0.1322 0.4971 0.9268 x1
40 O 0.1342 0.6406 0.4249 x1
41 O 0.1385 0.4924 0.6406 x1
42 O 0.1564 0.7073 0.0341 x1
43 O 0.1580 0.6868 0.7441 x1
44 O 0.1588 0.4618 0.5343 x1
45 O 0.1662 0.4795 0.2458 x1
46 O 0.1724 0.1967 0.0948 x1
47 O 0.1741 0.9751 0.5963 x1
48 O 0.1764 0.9700 0.3102 x1
49 O 0.1845 0.2170 0.8074 x1
50 O 0.2002 0.0303 0.2002 x1
51 O 0.2017 0.0301 0.9122 x1
52 O 0.2025 0.1772 0.4151 x1
53 O 0.2185 0.1836 0.7010 x1
54 O 0.2991 0.4548 0.0341 x1
55 O 0.3037 0.8461 0.5345 x1
56 O 0.3152 0.4731 0.7443 x1
57 O 0.3225 0.8434 0.2458 x1
58 O 0.3562 0.8673 0.6408 x1
59 O 0.3611 0.4848 0.1408 x1
60 O 0.3659 0.4985 0.4251 x1
61 O 0.3655 0.8732 0.9265 x1
62 O 0.4606 0.1593 0.9738 x1
63 O 0.4634 0.3112 0.4745 x1
64 O 0.4728 0.1709 0.2644 x1
65 O 0.4738 0.3185 0.7641 x1
66 O 0.4892 0.3536 0.0792 x1
67 O 0.4913 0.1378 0.8675 x1
68 O 0.4919 0.3588 0.3676 x1
69 O 0.4948 0.1319 0.5819 x1
70 O 0.5066 0.8704 0.4248 x1
71 O 0.5095 0.6392 0.9268 x1
72 O 0.5126 0.6483 0.6405 x1
73 O 0.5213 0.8783 0.1408 x1
74 O 0.5251 0.8420 0.7415 x1
75 O 0.5345 0.6894 0.2461 x1
76 O 0.5436 0.7009 0.5344 x1
77 O 0.5511 0.8475 0.0343 x1
78 O 0.6377 0.5086 0.5819 x1
79 O 0.6457 0.1354 0.3671 x1
80 O 0.6488 0.5130 0.8677 x1
81 O 0.6516 0.1375 0.0792 x1
82 O 0.6857 0.1634 0.7668 x1
83 O 0.6955 0.1551 0.4740 x1
84 O 0.6980 0.5368 0.2627 x1
85 O 0.6987 0.5422 0.9741 x1
86 O 0.7887 0.9658 0.8100 x1
87 O 0.7920 0.8216 0.3082 x1
88 O 0.8033 0.8287 0.5950 x1
89 O 0.8088 0.9772 0.0962 x1
90 O 0.8254 0.0394 0.6983 x1
91 O 0.8249 0.7945 0.2014 x1
92 O 0.8276 0.0267 0.4137 x1
93 O 0.8306 0.8018 0.9139 x1
94 O 0.8366 0.3091 0.2644 x1
95 O 0.8449 0.5323 0.7639 x1
96 O 0.8457 0.3051 0.9738 x1
97 O 0.8502 0.5433 0.4743 x1
98 O 0.8674 0.3571 0.8677 x1
99 O 0.8665 0.5158 0.0788 x1
100 O 0.8684 0.5133 0.3672 x1
101 O 0.8731 0.3658 0.5817 x1
102 O 0.9701 0.7884 0.7009 x1
103 O 0.9727 0.1736 0.1999 x1
104 O 0.9744 0.8027 0.4141 x1
105 O 0.9777 0.1769 0.9134 x1

***

4.
Na15Mg8Nb4P15S3O72 | PBE | relaxed

E_form ... -2727 meV per atom
V ... 1533.1 Å³ per cell
Spin magnetization ... 0.0 μB per formula unit
Corrected total energy (MP2020 scheme) ... -0.5289 Ry per atom

abc: 8.8990 8.9016 22.3164
angles: 89.88 89.88 60.14
Space group P1 (No. 1)
Unique sites:
1 Na 0.0000 0.0000 0.0000 x1
2 Na 0.0010 0.3549 0.2555 x1
3 Na 0.3177 0.3434 0.8361 x1
4 Na 0.3247 0.9618 0.0899 x1
5 Na 0.3336 0.7027 0.5943 x1
6 Na 0.3409 0.3422 0.3356 x1
7 Na 0.3482 0.0083 0.7577 x1
8 Na 0.6332 0.3507 0.7576 x1
9 Na 0.6568 0.6656 0.1753 x1
10 Na 0.6665 0.6658 0.6746 x1
11 Na 0.6942 0.9679 0.5950 x1
12 Na 0.6978 0.3379 0.0948 x1
13 Na 0.9585 0.3269 0.5930 x1
14 Na 0.9650 0.6968 0.0955 x1
15 Na 0.9965 0.0031 0.5005 x1
16 Mg 0.3290 0.3339 0.6961 x1
17 Mg 0.3298 0.3449 0.1966 x1
18 Mg 0.6575 0.6655 0.5240 x1
19 Mg 0.6629 0.6610 0.0242 x1
20 Mg 0.9903 0.9962 0.3618 x1
21 Mg 0.9933 0.9981 0.1626 x1
22 Mg 0.9957 0.0021 0.6633 x1
23 Mg 0.9969 0.9982 0.8610 x1
24 Nb 0.3196 0.3413 0.9843 x1
25 Nb 0.3376 0.3229 0.4841 x1
26 Nb 0.6654 0.6617 0.3250 x1
27 Nb 0.6648 0.6663 0.8249 x1
28 P 0.0368 0.3322 0.0952 x1
29 P 0.2844 0.7056 0.7596 x1
30 P 0.3302 0.0387 0.5945 x1
31 P 0.3313 0.6252 0.0934 x1
32 P 0.3642 0.6736 0.4291 x1
33 P 0.3672 0.9563 0.9295 x1
34 P 0.6216 0.3339 0.5941 x1
35 P 0.6694 0.3677 0.9289 x1
36 P 0.6723 0.9501 0.4293 x1
37 P 0.7020 0.2864 0.2596 x1
38 P 0.7059 0.9993 0.7587 x1
39 P 0.9481 0.6767 0.9298 x1
40 P 0.9539 0.3690 0.4292 x1
41 P 0.9983 0.2913 0.7591 x1
42 P 0.9990 0.7069 0.2595 x1
43 S 0.0396 0.6219 0.5928 x1
44 S 0.2899 0.9979 0.2592 x1
45 S 0.6172 0.0436 0.0934 x1
46 O 0.0206 0.7959 0.3129 x1
47 O 0.0226 0.1660 0.0957 x1
48 O 0.0242 0.7959 0.5964 x1
49 O 0.0254 0.1757 0.8123 x1
50 O 0.1202 0.5142 0.6455 x1
51 O 0.1234 0.3553 0.1504 x1
52 O 0.1328 0.4994 0.9316 x1
53 O 0.1371 0.3615 0.4333 x1
54 O 0.1451 0.5157 0.2557 x1
55 O 0.1481 0.5379 0.5381 x1
56 O 0.1556 0.3164 0.7523 x1
57 O 0.1589 0.3101 0.0388 x1
58 O 0.1631 0.8030 0.0954 x1
59 O 0.1643 0.0244 0.5950 x1
60 O 0.1777 0.7952 0.8138 x1
61 O 0.1808 0.0230 0.3111 x1
62 O 0.1865 0.8253 0.4187 x1
63 O 0.1876 0.9842 0.9204 x1
64 O 0.2198 0.9677 0.2029 x1
65 O 0.2220 0.8129 0.7011 x1
66 O 0.3073 0.1616 0.5382 x1
67 O 0.3079 0.5276 0.0364 x1
68 O 0.3119 0.1518 0.2532 x1
69 O 0.3247 0.5175 0.7541 x1
70 O 0.3550 0.1246 0.6495 x1
71 O 0.3550 0.4981 0.4330 x1
72 O 0.3575 0.1409 0.9335 x1
73 O 0.3645 0.5064 0.1461 x1
74 O 0.4460 0.6895 0.4865 x1
75 O 0.4537 0.8559 0.9858 x1
76 O 0.4687 0.8390 0.2664 x1
77 O 0.4769 0.6870 0.7684 x1
78 O 0.4873 0.8679 0.8728 x1
79 O 0.4904 0.6400 0.3741 x1
80 O 0.4906 0.6493 0.0862 x1
81 O 0.4943 0.3581 0.9331 x1
82 O 0.4938 0.8590 0.5873 x1
83 O 0.4957 0.1365 0.4319 x1
84 O 0.5087 0.1239 0.1460 x1
85 O 0.5096 0.3631 0.6493 x1
86 O 0.5179 0.1542 0.7544 x1
87 O 0.5192 0.3144 0.5382 x1
88 O 0.5197 0.3143 0.2541 x1
89 O 0.5340 0.1525 0.0385 x1
90 O 0.6359 0.4894 0.8723 x1
91 O 0.6386 0.8606 0.3743 x1
92 O 0.6390 0.8674 0.0871 x1
93 O 0.6442 0.4941 0.5869 x1
94 O 0.6796 0.8340 0.7686 x1
95 O 0.6835 0.4792 0.2692 x1
96 O 0.6853 0.4522 0.9853 x1
97 O 0.6845 0.8540 0.4867 x1
98 O 0.7916 0.0284 0.0970 x1
99 O 0.7925 0.0291 0.8117 x1
100 O 0.7977 0.1820 0.3137 x1
101 O 0.7988 0.1655 0.5943 x1
102 O 0.8057 0.9645 0.6993 x1
103 O 0.8116 0.2261 0.2012 x1
104 O 0.8207 0.1886 0.9195 x1
105 O 0.8207 0.9827 0.4208 x1
106 O 0.8265 0.6858 0.2691 x1
107 O 0.8281 0.4778 0.7696 x1
108 O 0.8515 0.4551 0.4854 x1
109 O 0.8519 0.6887 0.9869 x1
110 O 0.8569 0.4957 0.0879 x1
111 O 0.8573 0.6434 0.8746 x1
112 O 0.8636 0.6424 0.5869 x1
113 O 0.8653 0.4901 0.3723 x1
114 O 0.9515 0.2290 0.7009 x1
115 O 0.9642 0.8056 0.1998 x1
116 O 0.9792 0.8259 0.9201 x1
117 O 0.9838 0.1895 0.4190 x1